# K2LiTlCl6

A relaxed K2LiTlCl6 crystal (PBE, Materials Project).

abc: 10.361 10.361 10.361
angles: 90.00 90.00 90.00
Space group Fm-3m (No. 225)
Symmetry-distinct sites (fractional):
1 K 0.250 0.250 0.250 (multiplicity 8)
2 Li 0.000 0.000 0.000 (multiplicity 4)
3 Tl 0.000 0.000 0.500 (multiplicity 4)
4 Cl 0.000 0.000 0.248 (multiplicity 24)

Theoretical density: 3.00 Mg/m³
ΔH_f (0 K): -1.77 eV per atom
M_tot: 0.00 μB/f.u.
Energy with MP2020 corrections: -141.2 eV for the cell shown